(1)
Entry from Materials Project: a relaxed structure of CaCoP4O12 (PBE with a Hubbard U).

Values from the calculation:
Its space group is No. 15. The calculated volume comes out at 484.71 Å³/cell. The formation energy is -2.690 eV/atom. For the uncorrected energy, the calculation gives -7.149 eV/atom.

The structure in POSCAR format:
```
CaCoP4O12
1.0
4.3830 6.1244 0.0000
-4.3830 6.1244 0.0000
0.0000 4.7940 9.0286
Ca Co P O
2 2 8 24
Cartesian
3.9701 9.7199 6.7715
-3.9701 7.3229 2.2572
-2.1915 5.4592 4.5143
2.1915 3.0622 0.0000
0.0601 12.3008 7.2659
0.0601 7.1389 6.2770
-0.0601 4.7420 1.7627
-0.0601 9.9038 2.7516
1.9501 6.2891 0.2214
1.9501 8.3566 4.2929
-1.9501 10.7536 8.8072
-1.9501 8.6861 4.7357
-0.9246 11.0698 7.6133
-0.9246 8.3699 5.9296
0.9246 5.9729 1.4153
0.9246 8.6728 3.0990
1.1834 12.2238 8.4229
1.1834 7.2159 5.1200
-1.1834 4.8189 0.6057
-1.1834 9.8268 3.9086
0.6716 12.0684 5.9303
0.6716 7.3714 7.6126
-0.6716 4.9744 3.0983
-0.6716 9.6714 1.4160
-0.6965 13.5959 7.5041
-0.6965 5.8439 6.0388
0.6965 3.4469 1.5245
0.6965 11.1989 2.9898
2.1438 9.8466 8.3835
2.1437 9.5932 5.1594
-2.1437 7.1962 0.6451
-2.1437 7.4496 3.8692
3.1590 6.9216 0.7947
3.1590 7.7242 3.7196
-3.1590 10.1212 8.2339
-3.1590 9.3186 5.3090
```

***

(2)
Entry from Materials Project: a relaxed structure of CaCo3P4O14 (PBE with a Hubbard U).

Values from the calculation:
Its space group is No. 14. The calculated volume comes out at 509.12 Å³/cell. The formation energy is -2.497 eV/atom. For the uncorrected energy, the calculation gives -7.030 eV/atom.

The structure in POSCAR format:
```
CaCo3P4O14
1.0
-4.7620 -1.4239 -5.9086
-1.4628 -6.7491 2.8054
-7.4391 0.1722 5.9540
Ca Co P O
2 6 8 28
Cartesian
-0.7314 -3.3746 1.4027
-6.8320 -4.0004 1.4254
-5.7019 -5.5875 4.6603
-10.5103 -1.9770 2.6207
-7.9620 -2.4133 -1.8095
-3.1536 -6.0238 0.2301
0.0000 0.0000 0.0000
-6.1006 -0.6258 0.0227
-10.2728 -3.9224 -0.2069
-8.8704 -4.5184 3.8513
-3.3911 -4.0784 3.0577
-4.7935 -3.4824 -1.0005
-6.2853 -0.9780 3.2468
-10.6565 -6.8046 3.1291
-7.3787 -7.0228 -0.3960
-3.0075 -1.1962 -0.2783
-6.5577 -1.5784 1.8663
-12.0310 -6.6966 2.4660
-7.1062 -6.4224 0.9845
-1.6329 -1.3042 0.3848
-7.5751 -5.3247 3.5324
-11.0671 -2.9663 0.7335
-6.0888 -2.6761 -0.6816
-2.5968 -5.0345 2.1172
-8.7787 -3.6108 -0.2083
-9.1582 -4.4694 5.3494
-4.8853 -4.3900 3.0590
-4.5057 -3.5314 -2.4986
-6.0825 -2.2489 4.2092
-10.0857 -5.3024 3.1265
-7.5815 -5.7519 -1.3584
-3.5782 -2.6984 -0.2758
-4.8313 -4.7988 -0.2300
-2.9542 -2.6426 2.7824
-8.8326 -3.2020 3.0808
-10.7097 -5.3582 0.0683
-6.2227 -7.7917 -1.0565
-4.0823 -0.4030 0.4828
-7.4412 -0.2091 3.9072
-9.5816 -7.5977 2.3680
-2.8849 -0.7744 -1.7452
-8.6968 -7.8021 -0.4125
-10.7790 -7.2264 4.5960
-4.9672 -0.1987 3.2633
```